Entry 1:
The following is a DFT calculation (PBE) of a relaxed structure of Sr2CdHg.

Calculated values
Crystal system: cubic
Formation energy, kJ/mol of formula units: -161.5

a b c (Å): 5.7124 5.7124 5.7124
angles (deg): 60.00 60.00 60.00
Last column: nearest neighbours and their distance in Å.
Fractional coordinates of all 4 atoms:
1 Cd 0.5000 0.5000 0.5000  8 Sr 3.50
2 Sr 0.2500 0.2500 0.2500  4 Cd 3.50, 4 Hg 3.50
3 Sr 0.7500 0.7500 0.7500  4 Cd 3.50, 4 Hg 3.50
4 Hg 0.0000 0.0000 0.0000  8 Sr 3.50

---

Entry 2:
The following is a DFT calculation (PBE) of a relaxed structure of CdHg2Te4.

Calculated values
Crystal system: tetragonal
Formation energy, kJ/mol of formula units: -152.4

a b c (Å): 4.3275 4.3283 11.7703
angles (deg): 90.00 90.00 90.00
Last column: nearest neighbours and their distance in Å.
Fractional coordinates of all 7 atoms:
1 Hg 0.2500 0.2500 0.2383  4 Te 3.17, 2 Cd 3.54
2 Hg 0.7500 0.7500 0.7617  4 Te 3.17, 2 Cd 3.54
3 Te 0.7500 0.2500 0.5000  4 Te 3.06
4 Te 0.2500 0.7500 0.5000  4 Te 3.06
5 Te 0.2500 0.2500 0.8308  2 Cd 2.94, 4 Hg 3.17
6 Te 0.7500 0.7500 0.1693  2 Cd 2.94, 4 Hg 3.17
7 Cd 0.7500 0.2500 0.0000  4 Te 2.94

---

Entry 3:
The following is a DFT calculation (PBE) of a relaxed structure of CdHgTe2.

Calculated values
Crystal system: trigonal
Formation energy, kJ/mol of formula units: -198.9

a b c (Å): 8.1409 8.1409 8.1409
angles (deg): 33.60 33.60 33.60
Last column: nearest neighbours and their distance in Å.
Fractional coordinates of all 4 atoms:
1 Cd 0.0000 0.0000 0.0000  4 Te 2.87-2.88
2 Te 0.6253 0.6253 0.6253  3 Cd 2.88, 1 Hg 2.88
3 Te 0.1248 0.1248 0.1248  1 Cd 2.87, 3 Hg 2.88
4 Hg 0.5000 0.5000 0.5000  4 Te 2.88

---

Entry 4:
The following is a DFT calculation (PBE) of a relaxed structure of ThCdHg2.

Calculated values
Crystal system: cubic
Formation energy, kJ/mol of formula units: -92.8

a b c (Å): 5.2223 5.2223 5.2223
angles (deg): 60.00 60.00 60.00
Last column: nearest neighbours and their distance in Å.
Fractional coordinates of all 4 atoms:
1 Th 0.0000 0.0000 0.0000  8 Hg 3.20
2 Hg 0.7500 0.7500 0.7500  4 Cd 3.20, 4 Th 3.20
3 Hg 0.2500 0.2500 0.2500  4 Cd 3.20, 4 Th 3.20
4 Cd 0.5000 0.5000 0.5000  8 Hg 3.20

---

Entry 5:
The following is a DFT calculation (PBE) of a relaxed structure of TiCdHg2.

Calculated values
Crystal system: tetragonal
Formation energy, kJ/mol of formula units: 21.2

a b c (Å): 4.4684 4.4684 4.1473
angles (deg): 90.00 90.00 90.00
Last column: nearest neighbours and their distance in Å.
Fractional coordinates of all 4 atoms:
1 Hg 0.5000 0.0000 0.5000  4 Cd 3.05, 4 Ti 3.05, 4 Hg 3.16
2 Hg 0.0000 0.5000 0.5000  4 Cd 3.05, 4 Ti 3.05, 4 Hg 3.16
3 Cd 0.0000 0.0000 0.0000  8 Hg 3.05, 4 Ti 3.16
4 Ti 0.5000 0.5000 0.0000  8 Hg 3.05, 4 Cd 3.16

---

Entry 6:
The following is a DFT calculation (PBE) of a relaxed structure of TmCdHg2.

Calculated values
Crystal system: cubic
Formation energy, kJ/mol of formula units: -128.2

a b c (Å): 5.0896 5.0896 5.0896
angles (deg): 60.00 60.00 60.00
Last column: nearest neighbours and their distance in Å.
Fractional coordinates of all 4 atoms:
1 Hg 0.7500 0.7500 0.7500  4 Cd 3.12, 4 Tm 3.12
2 Hg 0.2500 0.2500 0.2500  4 Cd 3.12, 4 Tm 3.12
3 Tm 0.0000 0.0000 0.0000  8 Hg 3.12
4 Cd 0.5000 0.5000 0.5000  8 Hg 3.12

---

no.,total DFT energy (no corrections) (eV/atom)
1,-1.5698
2,-1.9992
3,-2.1828
4,-2.4765
5,-2.3016
6,-1.8336